# 1
VASP calculation (PBE) on a relaxed UGa crystal.

POSCAR file:
```
UGa
1.0
5.4030 2.7103 0.0000
-5.4030 2.7103 0.0000
0.0000 0.0000 10.8929
U Ga
8 8
direct
0.0000 0.0000 0.5000 U
0.0000 0.0000 0.0000 U
0.0140 0.0140 0.2500 U
0.9860 0.9860 0.7500 U
0.7648 0.2352 0.5000 U
0.7648 0.2352 0.0000 U
0.2352 0.7648 0.5000 U
0.2352 0.7648 0.0000 U
0.5076 0.5076 0.3734 Ga
0.4924 0.4924 0.6266 Ga
0.5076 0.5076 0.1266 Ga
0.4924 0.4924 0.8734 Ga
0.9789 0.4971 0.2500 Ga
0.5029 0.0211 0.7500 Ga
0.0211 0.5029 0.7500 Ga
0.4971 0.9789 0.2500 Ga
```

Its space-group type is No. 63. As for the total energy: -7.095 eV per atom. The value obtained for the formation energy is 65 meV per atom.

# 2
VASP calculation (PBE) on a relaxed Te3MoWS crystal.

POSCAR file:
```
Te3MoWS
1.0
1.7257 -2.9890 0.0000
1.7257 2.9890 0.0000
0.0000 0.0000 39.3943
Te Mo W S
6 2 2 2
direct
0.0000 0.0000 0.3288 Te
0.3333 0.6667 0.0469 Te
0.3333 0.6667 0.4224 Te
0.3333 0.6667 0.1409 Te
0.3333 0.6667 0.5170 Te
0.0000 0.0000 0.2348 Te
0.0000 0.0000 0.0939 Mo
0.3333 0.6667 0.2817 Mo
0.0000 0.0000 0.4697 W
0.3333 0.6667 0.6575 W
0.0000 0.0000 0.6955 S
0.0000 0.0000 0.6196 S
```

The calculation puts the excess energy over the best structure of this formula in the dataset at 0.0 kJ per mole of atoms. Its space-group type is No. 156. As for the total energy: -6.527 eV per atom. The value obtained for the formation energy is -383 meV per atom.

# 3
VASP calculation (PBE) on a relaxed Mn2NbN3 crystal.

POSCAR file:
```
Mn2NbN3
1.0
-3.3642 4.3413 -1.4728
-2.2709 -5.1024 1.4638
-0.1855 1.3225 4.3220
Mn Nb N
4 2 6
direct
0.3576 0.3803 0.4861 Mn
0.6424 0.0227 0.4861 Mn
0.6424 0.6197 0.9861 Mn
0.3576 0.9773 0.9861 Mn
0.0000 0.6788 0.4211 Nb
0.0000 0.3212 0.9211 Nb
0.3441 0.2910 0.8893 N
0.6559 0.9469 0.8893 N
0.6559 0.7090 0.3893 N
0.3441 0.0531 0.3893 N
0.0000 0.6827 0.9162 N
0.0000 0.3173 0.4162 N
```

Its space-group type is No. 36. As for the total energy: -9.281 eV per atom. The value obtained for the formation energy is -555 meV per atom.

# 4
VASP calculation (PBE) on a relaxed NaInH6Se2O8 crystal.

POSCAR file:
```
NaInH6Se2O8
1.0
-3.0797 -5.1667 -3.8944
5.2994 3.2396 -3.5783
8.2577 -8.0083 3.2679
Na In H Se O
2 2 12 4 16
direct
0.4109 0.0877 0.2530 Na
0.5891 0.9123 0.7470 Na
0.0000 0.5000 0.0000 In
0.0000 0.5000 0.5000 In
0.3312 0.3053 0.9779 H
0.6688 0.6947 0.0221 H
0.8498 0.2836 0.0795 H
0.1502 0.7164 0.9205 H
0.1434 0.4635 0.6039 H
0.8566 0.5365 0.3961 H
0.1969 0.1701 0.5140 H
0.8031 0.8299 0.4860 H
0.0342 0.3563 0.8999 H
0.9658 0.6437 0.1001 H
0.2170 0.6523 0.4239 H
0.7830 0.3477 0.5761 H
0.4313 0.5912 0.1687 Se
0.5687 0.4088 0.8313 Se
0.9080 0.0684 0.3369 Se
0.0920 0.9316 0.6631 Se
0.5171 0.4513 0.2507 O
0.4829 0.5487 0.7493 O
0.3283 0.7318 0.2290 O
0.6717 0.2682 0.7710 O
0.7697 0.1720 0.2690 O
0.2303 0.8280 0.7310 O
0.2798 0.4451 0.0778 O
0.7202 0.5549 0.9222 O
0.0478 0.9786 0.2631 O
0.9522 0.0214 0.7369 O
0.0560 0.2265 0.4242 O
0.9440 0.7735 0.5758 O
0.6328 0.7717 0.0810 O
0.3672 0.2283 0.9190 O
0.2743 0.1274 0.5739 O
0.7257 0.8726 0.4261 O
```

Its space-group type is No. 2. As for the total energy: -4.398 eV per atom. The value obtained for the formation energy is -759 meV per atom.